The following is a PBE+U calculation of a relaxed structure of Ca5La10Mn14Ni2O48, from the Materials Project database.

Results
The calculation puts the formation enthalpy at 0 K at -2728 meV per atom. As for the total energy after the MP2020 corrections: -8.256 eV/atom. For the total magnetization, the calculation gives 50.00 μB/f.u.

The structure in POSCAR format:
```
Ca5La10Mn14Ni2O48
1.0
-3.884 4.545 4.934
-9.387 -2.682 -4.914
-1.199 -8.472 6.871
Mn O Ca La Ni
14 48 5 10 2
Cartesian
-9.563 -3.993 2.201
-7.649 -6.232 -0.226
-4.877 -2.610 4.640
-2.818 -4.084 7.572
-8.838 1.077 4.212
-8.980 0.261 -1.211
-2.946 -4.870 2.191
-7.512 -5.429 5.113
-5.623 -7.657 2.700
-0.924 -6.320 5.154
-6.926 -1.186 1.780
-4.180 2.397 6.650
-4.291 1.596 1.246
-2.277 0.139 4.213
-3.458 -1.399 4.133
-5.972 -2.474 -2.033
-6.812 -6.144 6.814
-6.602 -6.596 1.369
-1.251 -1.105 0.433
-8.255 -0.164 2.807
-8.250 -4.706 3.468
-10.859 -3.248 0.939
-10.375 -3.598 -1.797
-6.235 -3.961 5.234
-8.517 -4.159 8.906
-12.545 -1.300 3.097
-8.785 -4.288 6.180
-7.467 2.300 3.963
-6.200 -6.518 4.167
-3.455 1.204 5.320
-1.893 -5.273 3.821
-10.886 -7.847 1.705
-4.236 -3.893 3.295
-8.265 -2.655 1.655
-7.685 -0.456 0.065
-8.821 -6.899 5.017
-1.865 -3.281 2.101
-2.963 0.905 2.530
-3.608 0.333 -0.019
-6.131 -5.556 9.340
-8.955 -5.231 0.811
-10.335 -1.040 -0.609
-5.622 -1.526 6.128
-4.083 -2.951 8.647
-4.108 -5.551 7.480
-7.903 -1.978 7.375
-10.929 -5.281 2.798
-6.186 -2.054 3.322
-12.040 0.849 1.513
-5.713 -2.286 0.663
-3.562 -3.358 5.944
-10.790 -6.930 6.947
-11.518 -7.497 4.387
-2.442 -7.433 5.378
-13.212 -5.522 6.449
-5.660 0.269 1.684
-7.996 0.053 5.639
-10.260 -2.753 3.609
-12.576 -3.330 4.909
-8.344 -1.018 -2.486
-7.143 -8.773 2.917
-6.579 -4.647 -0.494
-4.126 -5.670 5.009
-10.349 -0.885 1.831
-1.599 -2.980 4.539
-8.814 -7.033 2.580
-6.256 -4.296 2.087
-2.154 -7.230 7.972
-3.542 -0.875 7.158
-10.907 -5.070 5.260
-6.205 -3.698 7.688
-2.969 3.242 3.858
-6.820 -8.599 5.555
-8.164 -2.193 4.736
-3.574 -1.581 1.644
-8.268 -2.911 -0.807
-7.573 1.927 1.443
-6.219 3.865 3.706
-8.238 -10.481 3.184
```

***

The following is a PBE+U calculation of a relaxed structure of Mn12O7F17, from the Materials Project database.

Results
The calculation puts the formation enthalpy at 0 K at -2546 meV per atom. As for the total energy after the MP2020 corrections: -7.467 eV/atom. For the total magnetization, the calculation gives 53.00 μB/f.u. As for the relative energy among the computed polymorphs: 31 meV per atom.

The structure in POSCAR format:
```
Mn12O7F17
1.0
4.768 0.000 0.000
0.140 5.763 0.000
0.146 0.052 15.888
O F Mn
7 17 12
Cartesian
3.400 2.206 0.468
1.114 0.592 10.167
1.143 0.752 15.394
1.241 5.127 2.022
1.225 5.206 7.445
1.631 2.278 12.867
3.577 2.250 5.860
1.433 5.092 12.823
3.566 3.576 3.061
3.819 5.158 5.572
3.736 3.584 13.778
3.804 0.734 2.961
3.687 2.226 11.008
1.457 3.581 4.920
3.644 5.086 0.378
1.351 2.290 2.398
3.878 4.989 11.069
1.134 0.698 4.860
3.686 0.686 8.272
1.441 3.506 10.251
3.628 3.634 8.471
3.879 0.737 13.521
1.295 2.333 7.524
1.419 3.592 15.514
0.383 1.026 11.904
0.312 4.949 9.225
0.288 4.846 3.782
2.631 3.674 11.996
2.388 1.881 9.295
4.813 0.920 6.595
2.521 1.953 14.674
2.554 3.857 6.679
2.613 1.978 4.121
0.259 4.990 14.592
0.080 0.926 1.200
2.424 3.747 1.309
```

***

The following is a PBE+U calculation of a relaxed structure of MnCo3O8, from the Materials Project database.

Results
The calculation puts the formation enthalpy at 0 K at -1068 meV per atom. As for the total energy after the MP2020 corrections: -6.908 eV/atom. For the total magnetization, the calculation gives 9.51 μB/f.u. As for the relative energy among the computed polymorphs: 172 meV per atom.

The structure in POSCAR format:
```
MnCo3O8
1.0
1.435 2.462 0.000
-1.435 2.462 0.000
0.000 0.026 19.587
O Co Mn
8 3 1
Cartesian
0.000 4.108 3.966
0.000 0.829 5.828
0.000 4.121 13.760
0.000 1.655 10.725
0.000 3.296 8.862
0.000 1.644 0.985
0.000 0.842 15.621
0.000 3.307 18.602
0.000 0.013 9.794
0.000 2.469 4.897
0.000 2.482 14.690
0.000 0.000 0.000
```